The following is a PBE with a Hubbard U calculation of crystalline ZnW2O5 at its relaxed geometry, from the Materials Project database.

Geometry as POSCAR:
```
ZnW2O5
1.0
1.898 -5.725 0.000
1.898 5.725 0.000
0.000 0.000 10.931
Zn W O
2 4 10
direct
0.091 0.909 0.750 Zn
0.909 0.091 0.250 Zn
0.190 0.810 0.123 W
0.190 0.810 0.377 W
0.810 0.190 0.623 W
0.810 0.190 0.877 W
0.033 0.967 0.120 O
0.033 0.967 0.380 O
0.258 0.742 0.588 O
0.258 0.742 0.912 O
0.336 0.664 0.250 O
0.664 0.336 0.750 O
0.742 0.258 0.088 O
0.742 0.258 0.412 O
0.967 0.033 0.620 O
0.967 0.033 0.880 O
```

* distance to the lowest polymorph of the same formula: 0.0 meV/atom
* symmetry: Cmcm (63)
* total energy: -6.526 eV/atom